Entry 1:
## Li3Fe2P3O12 (PBE with a Hubbard U)

Data for a relaxed Li3Fe2P3O12 crystal.

```
80
Lattice="-4.529 1.343 7.368 -7.385 -2.291 -4.122 1.799 -11.590 3.218" Properties=species:S:1:pos:R:3 pbc="T T T"
O -5.850 -12.529 0.765
O -5.088 -8.762 1.798
O -2.592 -11.229 3.552
O -7.066 -10.095 6.027
Fe -7.000 -8.243 2.340
O -3.683 -4.682 -0.439
O -5.514 -6.471 6.109
O -0.850 -10.356 5.550
Fe -1.364 -1.690 -0.425
Li -6.408 -9.296 7.608
Fe -2.860 -10.291 5.373
O -4.665 -10.027 -0.390
Li -6.282 -10.115 -1.475
Li -7.763 -2.040 5.453
O -7.320 -5.261 4.778
P -9.917 -2.535 3.260
O -9.900 -10.450 5.244
P -5.254 -1.651 3.771
O -7.944 -9.620 1.169
O -5.017 -0.269 3.187
O -5.990 -12.005 4.728
O -6.756 -4.271 0.967
P -1.350 0.400 2.196
P -4.611 -0.873 -0.568
O -3.609 -10.432 9.063
O -3.894 -2.359 4.091
P -2.711 -4.724 7.484
O -5.953 -1.583 5.161
O -6.107 -2.501 2.800
O -2.714 -9.133 7.064
Fe -8.978 -4.845 5.655
Li -8.438 -9.077 4.823
O -1.546 -0.816 1.276
O -9.030 -2.923 2.049
Li -8.186 -11.030 2.516
O -2.019 -6.076 0.882
O -10.069 -5.752 4.267
O -2.199 -6.010 3.918
Fe -7.306 -2.233 1.172
Fe -4.313 -12.164 -0.329
P -6.169 -10.500 4.821
O -1.487 -3.686 0.408
P -7.270 -5.561 0.241
P -1.537 -7.366 4.094
O -2.750 -8.949 0.912
O -8.745 -7.763 3.337
O -4.954 -5.019 4.081
P -2.640 -4.687 0.734
Fe -5.574 -6.378 8.027
O -8.382 -2.444 -0.522
O -6.967 -9.958 3.587
O -3.398 -4.259 2.016
O -4.452 -7.543 -0.346
O -2.613 -8.488 4.283
Li -2.224 -1.421 4.429
O -3.324 -1.729 -0.739
O -5.694 -1.852 -0.064
Li -1.863 -9.593 2.644
Li -4.448 -8.364 3.649
O -9.249 -2.971 4.603
O -3.897 -0.996 7.211
Li 0.223 -3.625 1.341
O -6.044 -7.258 3.819
P -3.418 -9.049 8.442
O -3.199 -4.233 6.103
O -4.829 -8.393 8.307
Fe -3.064 -4.311 4.042
O -3.123 -11.897 1.237
O -7.024 -6.793 1.095
P -4.255 -8.806 0.492
O -3.714 -5.699 8.164
O -1.387 -3.151 4.020
O -6.431 -5.585 -1.070
Li -5.372 -4.263 2.334
Li -4.428 -2.646 6.116
O -10.150 -1.026 3.329
O -0.780 -7.814 2.810
O -4.792 -9.805 4.939
Li -5.501 -3.761 -0.656
P -5.972 -5.998 4.720
```

Space group: P2_12_12, No. 18
V: 932.76 Å³/cell
DFT total energy: -6.779 eV per atom
ΔH_f (0 K): -2.503 eV per atom

***

Entry 2:
## LiFePO4 (PBE with a Hubbard U)

Data for a relaxed LiFePO4 crystal.

```
56
Lattice="5.110 0.000 0.000 0.000 10.185 0.000 0.000 0.000 13.735" Properties=species:S:1:pos:R:3 pbc="T T T"
O 2.491 3.239 1.716
O 4.760 2.257 3.833
O 0.055 9.509 5.131
O 0.691 10.181 8.522
O 2.879 9.904 7.293
Li 2.304 7.940 10.299
O 0.350 7.350 3.833
Fe 0.303 0.347 3.398
O 0.691 5.097 1.654
P 4.857 7.984 5.114
Fe 2.841 2.903 6.858
Li 4.746 4.781 13.703
O 5.055 0.677 11.999
P 4.857 7.294 11.981
O 4.725 2.259 6.388
O 2.806 5.425 2.981
O 0.350 7.928 10.700
P 2.892 5.419 8.566
O 1.790 2.628 5.124
O 2.806 9.853 9.848
P 2.218 0.326 8.566
Fe 0.303 4.746 10.265
P 0.253 2.202 11.981
O 2.620 8.331 1.716
O 2.304 4.760 9.848
O 4.419 5.089 8.522
O 2.231 4.811 7.293
O 2.879 5.374 0.426
O 0.385 7.352 6.388
O 0.385 7.926 13.256
O 3.321 7.721 5.124
Fe 2.269 7.995 6.858
O 5.055 4.416 5.131
O 1.790 2.465 11.991
Fe 2.269 7.283 13.725
Li 2.806 2.245 3.431
Fe 4.807 9.839 10.265
Li 2.304 7.338 3.431
Li 0.365 9.873 13.703
O 2.231 0.281 0.426
O 3.321 7.557 11.991
O 2.620 6.947 8.584
O 4.419 0.004 1.654
O 0.055 5.769 11.999
P 2.892 9.859 1.699
P 0.253 2.891 5.114
Li 2.806 2.847 10.299
Li 0.365 5.405 6.836
O 4.725 2.834 13.256
O 2.304 0.333 2.981
O 4.760 2.835 10.700
Fe 2.841 2.190 13.725
Fe 4.807 5.440 3.398
Li 4.746 0.312 6.836
O 2.491 1.854 8.584
P 2.218 4.766 1.699
```

Space group: Pca2_1, No. 29
V: 714.91 Å³/cell
DFT total energy: -6.837 eV per atom
ΔH_f (0 K): -2.469 eV per atom

***

Entry 3:
## LiFePO4 (PBE with a Hubbard U)

Data for a relaxed LiFePO4 crystal.

```
42
Lattice="-5.334 -3.023 -4.209 4.911 -4.366 3.483 -5.803 -0.420 7.656" Properties=species:S:1:pos:R:3 pbc="T T T"
O -4.033 -2.147 0.841
P -0.041 -0.003 0.055
O -2.094 -4.178 5.655
O -0.972 -0.070 1.283
O 1.880 -3.645 2.788
O -2.988 -2.875 7.633
P 0.466 -3.993 2.277
P -3.071 -4.249 6.944
O -0.499 -4.063 3.551
O -2.536 -5.383 7.837
O -5.428 -5.200 3.202
O -6.104 -1.619 6.747
Fe -8.095 -5.501 5.465
O -6.653 -3.117 2.388
P -5.851 -3.755 3.541
P -3.585 -3.591 0.552
Fe -6.279 -3.618 6.945
Fe -0.279 -3.028 5.487
Li -0.510 -1.388 2.663
Fe -2.630 -3.506 3.678
O 1.154 -4.324 6.061
O -2.157 -1.547 3.703
O -6.816 -3.825 4.815
O -6.495 -6.495 6.184
O -4.635 -2.889 3.931
O -4.763 -4.500 0.159
Li -1.565 -5.818 1.620
Li 2.057 -4.876 4.417
O -4.483 -4.547 6.407
O -2.607 -3.521 -0.738
O -2.328 -6.451 3.306
O -3.874 -0.280 5.111
O -9.682 -3.494 3.932
O 0.436 -5.379 1.599
Li -5.526 -1.321 4.903
O -0.082 -2.895 1.342
Fe -1.057 -5.834 4.743
O -2.750 -4.184 1.702
P -2.943 -0.213 3.883
Fe -8.542 -2.535 5.289
Li -8.451 -4.088 2.534
Li -4.991 -5.959 5.054
```

Space group: P31c, No. 159
V: 460.63 Å³/cell
DFT total energy: -6.793 eV per atom
ΔH_f (0 K): -2.425 eV per atom

***

Entry 4:
## Li4Fe2P3O12 (PBE with a Hubbard U)

Data for a relaxed Li4Fe2P3O12 crystal.

```
84
Lattice="-4.752 -7.376 -0.645 -0.508 -0.453 8.938 -10.267 6.636 -0.247" Properties=species:S:1:pos:R:3 pbc="T T T"
Li -6.158 -2.764 8.041
P -5.762 -0.881 5.063
O -9.522 -1.416 6.978
O -3.107 1.494 2.831
Li -9.370 1.571 0.005
Li -5.147 -3.027 3.591
P -9.766 -0.312 2.983
Li -10.955 -1.418 5.625
P -8.031 -4.475 2.871
Fe -4.045 -3.680 6.300
Li -12.137 -0.263 1.121
O -7.462 -1.930 -0.140
O -12.363 -0.656 6.848
O -9.976 -2.537 -0.314
Li -12.705 -1.808 3.222
Fe -8.739 0.322 6.287
O -5.157 -6.959 6.989
O -13.102 1.761 6.979
O -4.976 -5.814 2.519
P -9.179 -2.644 7.862
Li -10.063 3.156 6.752
O -4.621 0.013 5.637
O -10.635 1.263 6.886
O -1.663 -0.779 3.978
O -5.660 -2.352 5.616
O -6.796 2.585 1.142
Fe -6.788 -1.516 1.759
O -4.082 -4.506 4.416
P -9.258 4.811 0.658
O -12.420 -2.688 5.215
O -4.167 -2.304 8.034
Li -7.155 -3.648 5.728
O -11.361 1.111 0.011
Li -4.572 0.224 2.421
Fe -14.110 -1.426 5.842
O -9.638 3.344 1.026
Fe -10.858 -3.136 1.445
P -3.492 -1.957 0.642
Li -5.464 -4.349 1.293
O -10.907 -1.206 2.409
O -9.868 1.158 2.430
Fe -4.669 1.943 6.600
P -7.496 3.281 5.175
Fe -1.418 0.232 2.204
O -9.345 -3.861 2.413
O -10.551 4.621 5.527
P -6.348 1.450 0.184
O -2.848 0.936 7.312
O -6.838 -3.533 2.522
O -12.769 1.074 2.425
O -13.865 -0.414 4.067
Li -2.823 0.615 4.823
O -10.371 5.766 1.057
O -2.758 -2.267 5.621
O -6.103 -5.599 -0.030
O -8.690 2.340 5.524
O -8.732 -3.778 6.903
O -5.890 -4.537 7.020
P -12.036 0.764 7.403
P -1.469 -2.095 4.777
O -7.987 -4.772 4.400
O -12.680 -2.129 0.733
P -6.270 -6.004 7.388
O -9.984 -0.170 4.520
O -5.543 -1.024 3.526
O -11.446 3.313 3.629
Li -3.325 1.331 0.336
O -3.164 -0.537 1.197
O -7.122 -0.310 5.429
O -7.540 3.579 3.646
O -2.426 -2.954 1.067
O -8.406 -0.883 2.617
P -3.791 -5.735 3.517
Fe -11.482 2.486 1.746
O -5.552 1.343 8.360
O -4.892 -2.457 1.160
O -9.425 4.406 8.076
Li -12.202 -2.524 7.710
O -8.065 0.737 8.186
O -6.006 0.222 1.067
Li -8.373 2.454 2.318
O -6.183 2.668 5.633
Li -10.381 1.834 4.455
Li -3.391 -0.931 6.925
```

Space group: Pbcn, No. 60
V: 964.29 Å³/cell
DFT total energy: -6.662 eV per atom
ΔH_f (0 K): -2.498 eV per atom

***

Entry 5:
## LiFe2P2O8 (PBE with a Hubbard U)

Data for a relaxed LiFe2P2O8 crystal.

```
26
Lattice="5.157 0.000 0.000 0.000 8.773 0.000 0.000 5.905 8.316" Properties=species:S:1:pos:R:3 pbc="T T T"
Li 2.944 10.314 8.308
O 3.060 9.626 6.410
O 4.583 2.099 2.161
Fe 4.912 8.778 6.203
P 2.864 7.390 1.103
Fe 2.367 4.463 6.286
O 2.786 11.812 5.106
O 0.800 10.339 5.553
O 0.381 7.244 5.009
O 2.097 6.673 2.252
P 0.162 2.837 1.002
O 4.357 7.387 1.395
O 1.697 2.940 1.382
O 4.776 4.291 0.850
P 2.293 10.342 5.262
P 4.995 5.789 5.160
Fe 2.790 1.511 2.128
O 5.117 7.985 8.016
O 0.574 5.052 6.320
O 2.549 12.509 8.079
O 0.040 5.033 3.857
Fe 0.245 5.826 2.045
O 3.460 5.893 5.540
O 2.608 9.556 3.921
Li 2.214 7.362 4.149
O 2.371 8.860 0.948
```

Space group: Pc, No. 7
V: 376.25 Å³/cell
DFT total energy: -6.916 eV per atom
ΔH_f (0 K): -2.358 eV per atom

***

Entry 6:
## LiFe2P2O8 (PBE with a Hubbard U)

Data for a relaxed LiFe2P2O8 crystal.

```
26
Lattice="5.255 0.000 0.000 0.000 8.299 0.000 0.000 2.487 8.195" Properties=species:S:1:pos:R:3 pbc="T T T"
O 3.660 4.426 2.870
Fe 1.662 1.550 1.760
O 3.451 2.216 1.701
O 4.239 7.450 7.691
O 1.063 1.061 0.031
P 3.536 6.225 0.075
O 3.153 7.046 4.595
Li 1.745 4.854 2.312
O 0.516 3.075 2.291
O 1.016 6.206 3.593
O 0.967 8.114 5.328
Li 3.510 6.097 6.410
O 1.782 8.519 3.019
O 1.594 5.670 6.967
O 3.472 9.762 7.117
P 4.262 3.023 2.755
Fe 0.896 7.603 7.239
O 1.804 3.459 5.799
P 0.992 4.267 6.852
O 4.738 4.319 6.388
P 1.718 7.469 4.173
O 2.102 5.802 0.498
Fe 4.359 6.359 3.142
Fe 3.592 2.793 5.858
O 4.288 6.871 1.231
O 4.192 2.304 4.129
```

Space group: Pc, No. 7
V: 357.38 Å³/cell
DFT total energy: -6.923 eV per atom
ΔH_f (0 K): -2.366 eV per atom

***

Entry 7:
## LiFePO4 (PBE with a Hubbard U)

Data for a relaxed LiFePO4 crystal.

```
28
Lattice="0.000 -5.616 0.000 0.000 0.000 8.381 -6.239 0.000 0.000" Properties=species:S:1:pos:R:3 pbc="T T T"
O -3.408 -1.483 0.036
Fe -3.120 -1.483 2.095
Li -1.560 -4.292 3.466
O -1.560 -5.542 1.790
Li -1.560 -1.484 7.656
O -2.831 -1.483 4.154
P -1.560 -4.291 0.833
Li -4.679 -4.292 0.725
O -4.679 -0.232 6.592
O -4.679 -5.542 2.401
P -4.679 -4.291 3.357
O -0.288 -1.483 4.154
O -0.288 -4.291 8.345
O -1.560 -3.040 1.790
Fe 0.000 -4.291 6.286
O -4.679 -3.040 2.401
P -4.679 -1.483 7.548
P -1.560 -1.483 5.024
O -1.560 -0.232 5.980
Fe -3.120 -4.291 6.286
Li -4.679 -1.484 4.916
O -5.951 -1.483 0.036
O -4.679 -2.734 6.592
O -3.408 -4.291 4.227
Fe 0.000 -1.483 2.095
O -1.560 -2.734 5.980
O -5.951 -4.291 4.227
O -2.831 -4.291 8.345
```

V: 293.67 Å³/cell
DFT total energy: -6.833 eV per atom
ΔH_f (0 K): -2.464 eV per atom

***

Entry 8:
## LiFeP2O7 (PBE with a Hubbard U)

Data for a relaxed LiFeP2O7 crystal.

```
22
Lattice="4.959 0.008 0.032 2.462 7.252 -4.473 0.058 -0.262 8.687" Properties=species:S:1:pos:R:3 pbc="T T T"
P 1.724 1.280 6.496
O 2.449 -0.007 1.818
P 4.218 5.615 1.921
O 2.406 2.538 1.849
O 3.011 5.735 0.988
Fe 3.061 7.207 -4.096
O 5.203 4.562 1.615
O 3.706 1.294 3.650
O 1.298 1.400 -0.688
O 6.926 5.869 -3.379
P 5.712 5.769 -2.426
Li 5.894 3.021 0.782
Fe 6.728 7.059 0.370
O 3.797 5.676 3.404
O 5.416 1.212 5.645
O 2.641 2.401 6.218
O 4.753 4.696 -2.755
Li 4.086 2.915 5.102
O 2.583 -0.150 6.145
P 3.287 1.394 2.161
O 6.148 5.809 -0.952
O 4.579 1.326 1.278
```

Space group: P1, No. 1
V: 306.37 Å³/cell
DFT total energy: -6.845 eV per atom
ΔH_f (0 K): -2.411 eV per atom